1.
Density functional theory data (GGA-PBE) for a relaxed Ce2Ta3Se2O8 crystal.

Calculated values
- Symmetry: Pnnm (58)
- Calculated formation energy: -4434 kJ/mol of formula units

Cell: 7.664 10.018 12.001 Å, 90.00 90.00 90.00°
Positions (direct):
Ce 0.000 0.228 0.351
Ce 0.000 0.772 0.649
Ce 0.500 0.272 0.851
Ce 0.500 0.728 0.149
Ce 0.000 0.712 0.156
Ce 0.000 0.288 0.844
Ce 0.500 0.788 0.656
Ce 0.500 0.212 0.344
Ta 0.250 0.365 0.084
Ta 0.750 0.635 0.916
Ta 0.250 0.635 0.916
Ta 0.250 0.135 0.584
Ta 0.750 0.365 0.084
Ta 0.750 0.865 0.416
Ta 0.250 0.865 0.416
Ta 0.750 0.135 0.584
Ta 0.214 0.000 0.000
Ta 0.786 0.000 0.000
Ta 0.286 0.500 0.500
Ta 0.714 0.500 0.500
Se 0.000 0.019 0.164
Se 0.000 0.981 0.836
Se 0.500 0.481 0.664
Se 0.500 0.519 0.336
Se 0.000 0.523 0.361
Se 0.000 0.477 0.639
Se 0.500 0.977 0.861
Se 0.500 0.023 0.139
O 0.000 0.366 0.052
O 0.000 0.634 0.948
O 0.500 0.134 0.552
O 0.500 0.866 0.448
O 0.247 0.287 0.225
O 0.753 0.713 0.775
O 0.247 0.713 0.775
O 0.253 0.213 0.725
O 0.753 0.287 0.225
O 0.747 0.787 0.275
O 0.253 0.787 0.275
O 0.747 0.213 0.725
O 0.000 0.149 0.550
O 0.000 0.851 0.450
O 0.500 0.351 0.050
O 0.500 0.649 0.950
O 0.263 0.302 0.476
O 0.737 0.698 0.524
O 0.263 0.698 0.524
O 0.237 0.198 0.976
O 0.737 0.302 0.476
O 0.763 0.802 0.024
O 0.237 0.802 0.024
O 0.763 0.198 0.976
O 0.245 0.057 0.397
O 0.755 0.943 0.603
O 0.245 0.943 0.603
O 0.255 0.443 0.897
O 0.755 0.057 0.397
O 0.745 0.557 0.103
O 0.255 0.557 0.103
O 0.745 0.443 0.897

=====

2.
Density functional theory data (GGA-PBE) for a relaxed LiSiBi3O7 crystal.

Calculated values
- Symmetry: P6_3 (173)
- Calculated formation energy: -2463 kJ/mol of formula units

Cell: 8.585 8.585 5.224 Å, 90.00 90.00 120.00°
Positions (direct):
Li 0.000 0.000 0.020
Li 0.000 0.000 0.520
Si 0.333 0.667 0.173
Si 0.667 0.333 0.673
Bi 0.088 0.733 0.701
Bi 0.267 0.355 0.701
Bi 0.645 0.912 0.701
Bi 0.355 0.088 0.201
Bi 0.733 0.645 0.201
Bi 0.912 0.267 0.201
O 0.083 0.855 0.328
O 0.131 0.531 0.050
O 0.400 0.869 0.050
O 0.333 0.667 0.487
O 0.145 0.228 0.328
O 0.469 0.600 0.050
O 0.228 0.083 0.828
O 0.772 0.917 0.328
O 0.531 0.400 0.550
O 0.855 0.772 0.828
O 0.667 0.333 0.987
O 0.600 0.131 0.550
O 0.869 0.469 0.550
O 0.917 0.145 0.828

=====

3.
Density functional theory data (GGA-PBE) for a relaxed BaGe2O5 crystal.

Calculated values
- Symmetry: Cmce (64)
- Calculated formation energy: -1886 kJ/mol of formula units
- Energy above the most stable polymorph in this dataset: 15 meV per atom

Cell: 5.743 5.743 14.612 Å, 90.00 90.00 121.45°
Positions (direct):
Ba 0.162 0.838 0.581
Ba 0.838 0.162 0.419
Ba 0.338 0.662 0.081
Ba 0.662 0.338 0.919
Ge 0.495 0.505 0.642
Ge 0.505 0.495 0.358
Ge 0.005 0.995 0.142
Ge 0.995 0.005 0.858
Ge 0.827 0.173 0.683
Ge 0.173 0.827 0.317
Ge 0.673 0.327 0.183
Ge 0.327 0.673 0.817
O 0.335 0.153 0.406
O 0.153 0.335 0.594
O 0.165 0.347 0.906
O 0.347 0.165 0.094
O 0.665 0.847 0.594
O 0.847 0.665 0.406
O 0.835 0.653 0.094
O 0.653 0.835 0.906
O 0.002 0.498 0.750
O 0.498 0.002 0.250
O 0.998 0.502 0.250
O 0.502 0.998 0.750
O 0.494 0.506 0.761
O 0.506 0.494 0.239
O 0.006 0.994 0.261
O 0.994 0.006 0.739
O 0.166 0.834 0.899
O 0.834 0.166 0.101
O 0.334 0.666 0.399
O 0.666 0.334 0.601

=====

| no. | density (Mg/m³) |
| --- | --- |
| 1 | 7.994 |
| 2 | 7.709 |
| 3 | 5.858 |